Density functional theory data (GGA-PBE) for a geometry-optimized BeAg4 structure.

Cell: 6.400 6.400 6.400 Å, 60.00 60.00 60.00°
Element x y z (fractional)
Ag 0.169 0.610 0.610
Be 0.750 0.750 0.750
Ag 0.610 0.169 0.610
Ag 0.140 0.581 0.140
Be 0.000 0.000 0.000
Ag 0.610 0.610 0.610
Ag 0.140 0.140 0.581
Ag 0.610 0.610 0.169
Ag 0.581 0.140 0.140
Ag 0.140 0.140 0.140

Results
The value obtained for the magnetic moment is 0.00 μB per atom. The value obtained for the calculated formation energy is 0.50 eV per atom.